NaSrPrSeO6 after structural relaxation. Source: Materials Project, functional PBE.

Cell and atoms, written as extended XYZ:
```
10
Lattice="-3.795 3.597 2.597 -5.391 0.608 -2.158 -4.570 -2.181 2.905" Properties=species:S:1:pos:R:3 pbc="T T T"
Sr -3.439 0.506 0.836
Se -6.878 1.012 1.672
O -8.240 -0.131 1.264
O -7.535 1.190 3.365
O -6.221 0.833 -0.020
O -5.515 2.154 2.081
Pr 0.000 0.000 0.000
O -7.898 2.423 1.127
O -5.858 -0.399 2.217
Na -10.317 1.517 2.508
```

=====

NaPrSi6O14 after structural relaxation. Source: Materials Project, functional PBE.

Cell and atoms, written as extended XYZ:
```
88
Lattice="-3.887 7.818 9.991 3.887 -7.818 9.991 3.887 7.818 -9.991" Properties=species:S:1:pos:R:3 pbc="T T T"
O 1.851 10.876 -3.759
O 2.238 -0.362 6.656
Pr 3.887 4.246 4.995
O 0.755 1.810 13.628
O 2.036 3.058 3.759
Si 1.379 2.092 9.991
Si 2.716 -1.869 12.926
Si 1.170 9.687 -2.935
O 1.851 4.760 13.750
O 2.582 1.964 -1.283
O 1.305 5.854 11.274
Si 1.853 9.037 7.070
O -0.755 1.810 16.345
O -1.648 8.180 6.656
O 3.439 2.024 6.688
O 2.582 -1.964 8.707
O 1.648 7.457 6.656
O 1.305 9.782 1.283
O 4.128 5.667 0.000
Si 2.716 1.869 2.935
Si 2.085 5.214 9.991
O 5.535 -0.362 3.335
O 1.919 6.576 1.261
O 3.439 -2.024 3.303
Si 2.034 1.219 7.070
O 2.002 3.595 9.991
O 2.036 3.058 -3.759
O 4.334 2.024 3.303
O 1.648 8.180 -3.335
O 1.851 10.876 3.759
Si 5.740 1.219 2.921
O 1.648 8.180 3.335
Si 5.057 -1.869 2.935
O 2.238 -0.362 13.326
O 2.238 0.362 3.335
O 3.645 5.667 9.991
O 5.806 1.242 1.261
Na 0.000 7.818 0.000
O -0.241 2.151 9.991
O 5.806 1.242 -1.261
Si 1.853 6.599 2.921
Si 2.508 5.726 0.000
O 1.919 6.576 -1.261
O 1.851 4.760 6.232
O -0.755 1.810 3.637
Si 1.802 2.604 0.000
Si -1.170 9.687 7.056
Si 1.170 5.949 7.056
Si 2.716 -1.869 7.056
Na 3.887 0.000 0.000
O 1.967 1.242 11.251
Na 0.000 0.000 14.986
O 0.755 1.810 6.354
Si 2.034 -1.219 2.921
Si 2.085 10.422 0.000
Pr 0.000 3.572 4.995
O 1.305 5.854 8.707
O 3.132 6.008 -3.637
O 4.641 6.008 6.354
Si 6.394 2.092 0.000
Pr 3.887 4.246 -4.995
O 2.036 -3.058 6.232
O 2.582 1.964 1.283
O -1.919 6.576 11.251
O -0.447 5.794 6.688
Si 1.853 6.599 -2.921
Na 0.000 0.000 4.995
O 2.582 -1.964 11.274
Si -1.853 6.599 7.070
O -1.919 6.576 8.730
Si -2.508 5.726 9.991
O -1.884 4.223 9.991
Si 1.170 9.687 2.935
O 2.036 -3.058 13.750
O -0.447 9.842 3.303
O 1.967 1.242 8.730
O 0.447 9.842 6.688
O 5.771 3.595 0.000
O 3.132 6.008 3.637
O 4.334 -2.024 6.688
O 0.241 2.151 0.000
O 1.305 9.782 -1.283
O 4.641 6.008 -6.354
O 1.884 4.223 0.000
Si 2.034 1.219 12.912
Si 1.802 -2.604 9.991
O 0.447 5.794 3.303
Pr 0.000 3.572 14.986
```

=====

no.,M_tot (μB/cell),ΔH_f (0 K) (eV per atom),calculated density (g/cm3)
1,0.000,-2.339,5.033
2,0.021,-3.281,3.043